Entry 1:
A plane-wave DFT calculation with PBE with a Hubbard U was carried out for crystalline Li2Fe5P4O16 at its relaxed geometry.

Mass density   3.4 g/cm³
E_tot   -6.97 eV/atom
E_form   -2.353 eV per atom
Size of the total moment   0.74 μB/atom
Calculated volume   327 Å³/cell

Lattice parameters (Å, degrees): 5.3297 8.1247 8.3125 111.19 91.33 101.45
Fractional coordinates of all 27 atoms:
1 Fe 0.6357 0.4090 0.6645
2 Fe 0.3643 0.5910 0.3356
3 Fe 0.0000 0.0000 0.0000
4 Fe 0.0954 0.2529 0.7843
5 Fe 0.9045 0.7471 0.2157
6 O 0.1283 0.7592 0.5013
7 O 0.9231 0.9677 0.7366
8 O 0.8717 0.2409 0.4988
9 O 0.2404 0.8201 0.9121
10 O 0.3091 0.1876 0.5680
11 O 0.2316 0.6727 0.1368
12 O 0.3448 0.1931 0.9445
13 O 0.7198 0.6338 0.6195
14 O 0.6552 0.8068 0.0555
15 O 0.6910 0.8125 0.4319
16 O 0.2801 0.3662 0.3805
17 O 0.0768 0.0323 0.2634
18 O 0.7684 0.3273 0.8633
19 O 0.6434 0.4850 0.1627
20 O 0.3565 0.5150 0.8373
21 O 0.7595 0.1799 0.0880
22 P 0.3718 0.7017 0.9806
23 P 0.1327 0.2117 0.4274
24 P 0.8673 0.7883 0.5726
25 P 0.6281 0.2983 0.0194
26 Li 0.3454 0.9277 0.7309
27 Li 0.6547 0.0723 0.2691



Entry 2:
A plane-wave DFT calculation with PBE with a Hubbard U was carried out for crystalline Li3Fe2P3O12 at its relaxed geometry.

Mass density   3.0 g/cm³
E_tot   -6.78 eV/atom
E_form   -2.507 eV per atom
Size of the total moment   0.50 μB/atom
Calculated volume   924 Å³/cell

Lattice parameters (Å, degrees): 8.7365 8.6775 14.9167 54.81 90.00 90.00
Fractional coordinates of all 80 atoms:
1 Fe 0.9689 0.3601 0.8945
2 Fe 0.5406 0.1380 0.1074
3 Fe 0.4594 0.8620 0.8926
4 Fe 0.9594 0.1380 0.6074
5 Fe 0.4689 0.6399 0.6055
6 Fe 0.5311 0.3601 0.3945
7 Fe 0.0311 0.6399 0.1055
8 Fe 0.0406 0.8620 0.3926
9 O 0.8729 0.5323 0.0684
10 O 0.5917 0.1740 0.9720
11 O 0.8113 0.5237 0.9028
12 O 0.6677 0.7378 0.9331
13 O 0.0206 0.9116 0.2363
14 O 0.5569 0.1296 0.5386
15 O 0.8669 0.3822 0.5695
16 O 0.6105 0.7727 0.6503
17 O 0.2825 0.6735 0.6841
18 O 0.1331 0.6178 0.4305
19 O 0.0912 0.9035 0.6681
20 O 0.5912 0.0965 0.8319
21 O 0.9431 0.1296 0.0386
22 O 0.8323 0.7378 0.4331
23 O 0.3669 0.6178 0.9305
24 O 0.4088 0.9035 0.1681
25 O 0.1887 0.4763 0.0972
26 O 0.4794 0.9116 0.7363
27 O 0.1677 0.2622 0.5669
28 O 0.6271 0.5323 0.5684
29 O 0.3323 0.2622 0.0669
30 O 0.6887 0.5237 0.4028
31 O 0.7825 0.3265 0.8159
32 O 0.9794 0.0884 0.7637
33 O 0.4083 0.8260 0.0280
34 O 0.0569 0.8704 0.9614
35 O 0.2175 0.6735 0.1841
36 O 0.9960 0.5865 0.7194
37 O 0.5206 0.0884 0.2637
38 O 0.7644 0.9701 0.6869
39 O 0.3113 0.4763 0.5972
40 O 0.6331 0.3822 0.0695
41 O 0.2356 0.0299 0.3131
42 O 0.4960 0.4135 0.7806
43 O 0.1271 0.4677 0.9316
44 O 0.0917 0.8260 0.5280
45 O 0.1105 0.2273 0.8497
46 O 0.7175 0.3265 0.3159
47 O 0.3895 0.2273 0.3497
48 O 0.2644 0.0299 0.8131
49 O 0.8895 0.7727 0.1503
50 O 0.9088 0.0965 0.3319
51 O 0.5040 0.5865 0.2194
52 O 0.0040 0.4135 0.2806
53 O 0.3729 0.4677 0.4316
54 O 0.7356 0.9701 0.1869
55 O 0.9083 0.1740 0.4720
56 O 0.4431 0.8704 0.4614
57 Li 0.7253 0.9724 0.3199
58 Li 0.4213 0.6242 0.8000
59 Li 0.7985 0.6722 0.7405
60 Li 0.9213 0.3758 0.7000
61 Li 0.2015 0.3278 0.2595
62 Li 0.5787 0.3758 0.2000
63 Li 0.0787 0.6242 0.3000
64 Li 0.7747 0.9724 0.8199
65 Li 0.7015 0.6722 0.2405
66 Li 0.2747 0.0276 0.6801
67 Li 0.2985 0.3278 0.7595
68 Li 0.2253 0.0276 0.1801
69 P 0.8974 0.9537 0.1491
70 P 0.1026 0.0463 0.8509
71 P 0.6157 0.2526 0.8510
72 P 0.3974 0.0463 0.3509
73 P 0.6026 0.9537 0.6491
74 P 0.8843 0.2526 0.3510
75 P 0.7524 0.5427 0.4930
76 P 0.2476 0.4573 0.5070
77 P 0.3843 0.7474 0.1490
78 P 0.1157 0.7474 0.6490
79 P 0.2524 0.4573 0.0070
80 P 0.7476 0.5427 0.9930



Entry 3:
A plane-wave DFT calculation with PBE with a Hubbard U was carried out for crystalline Li2FeP2O7 at its relaxed geometry.

Mass density   2.6 g/cm³
E_tot   -6.72 eV/atom
E_form   -2.499 eV per atom
Size of the total moment   0.00 μB/atom
Calculated volume   623 Å³/cell

Lattice parameters (Å, degrees): 7.8496 7.8430 10.1252 90.01 90.00 89.54
Fractional coordinates of all 48 atoms:
1 O 0.6529 0.1529 0.8988
2 O 0.0000 0.5000 0.9083
3 O 0.8034 0.0772 0.6181
4 O 0.9188 0.8049 0.8827
5 O 0.1962 0.9219 0.1178
6 O 0.1528 0.3471 0.1014
7 O 0.3471 0.8471 0.8989
8 O 0.3052 0.4183 0.3826
9 O 0.5000 0.0000 0.0909
10 O 0.1526 0.3474 0.6012
11 O 0.0813 0.1952 0.8827
12 O 0.8471 0.6528 0.1014
13 O 0.5776 0.3036 0.6181
14 O 0.3465 0.8466 0.3991
15 O 0.8474 0.6526 0.6012
16 O 0.0000 0.5000 0.4078
17 O 0.4216 0.6959 0.1177
18 O 0.6535 0.1534 0.3991
19 O 0.6947 0.5817 0.3827
20 O 0.1965 0.9228 0.6181
21 O 0.4223 0.6964 0.6181
22 O 0.0821 0.1946 0.3826
23 O 0.5000 0.0000 0.5904
24 O 0.6954 0.5809 0.8827
25 O 0.9178 0.8054 0.3826
26 O 0.8039 0.0781 0.1177
27 O 0.5785 0.3041 0.1178
28 O 0.3047 0.4191 0.8828
29 P 0.6395 0.1395 0.0467
30 P 0.6395 0.1394 0.5469
31 P 0.3605 0.8605 0.0467
32 P 0.8596 0.6403 0.4533
33 P 0.1403 0.3597 0.4533
34 P 0.8598 0.6402 0.9535
35 P 0.3605 0.8606 0.5469
36 P 0.1402 0.3598 0.9535
37 Li 0.7729 0.2732 0.2644
38 Li 0.7257 0.7744 0.2353
39 Li 0.7258 0.7744 0.7351
40 Li 0.7729 0.2731 0.7646
41 Li 0.2743 0.2256 0.2353
42 Li 0.2271 0.7268 0.2644
43 Li 0.2742 0.2256 0.7351
44 Li 0.2270 0.7269 0.7646
45 Fe 0.5000 0.5000 0.4994
46 Fe 0.0000 0.0000 0.4994
47 Fe 0.0002 0.0001 0.9993
48 Fe 0.5001 0.5000 0.9990



Entry 4:
A plane-wave DFT calculation with PBE with a Hubbard U was carried out for crystalline LiFePO4 at its relaxed geometry.

Mass density   3.0 g/cm³
E_tot   -6.80 eV/atom
E_form   -2.435 eV per atom
Size of the total moment   0.57 μB/atom
Calculated volume   350 Å³/cell

Lattice parameters (Å, degrees): 5.0739 6.0643 11.3822 90.00 90.00 90.00
Fractional coordinates of all 28 atoms:
1 O 0.3892 0.5166 0.3520
2 O 0.9202 0.0593 0.6592
3 O 0.8830 0.2451 0.4617
4 O 0.4202 0.5593 0.8408
5 O 0.8021 0.7137 0.4176
6 O 0.8830 0.2549 0.9617
7 O 0.8892 0.0166 0.1480
8 O 0.3021 0.2863 0.5824
9 O 0.8021 0.7863 0.9176
10 O 0.4202 0.9407 0.3408
11 O 0.3021 0.2137 0.0824
12 O 0.3892 0.9834 0.8520
13 O 0.8892 0.4834 0.6480
14 O 0.3830 0.7549 0.5383
15 O 0.3830 0.7451 0.0383
16 O 0.9202 0.4407 0.1592
17 Fe 0.4881 0.9641 0.1675
18 Fe 0.9881 0.4641 0.3325
19 Fe 0.9881 0.0359 0.8325
20 Fe 0.4881 0.5359 0.6675
21 P 0.4970 0.7700 0.9119
22 P 0.9970 0.2300 0.0881
23 P 0.9970 0.2700 0.5881
24 P 0.4970 0.7300 0.4119
25 Li 0.4913 0.2829 0.9349
26 Li 0.9913 0.7171 0.0651
27 Li 0.9913 0.7829 0.5651
28 Li 0.4913 0.2171 0.4349



Entry 5:
A plane-wave DFT calculation with PBE with a Hubbard U was carried out for crystalline LiFe2P2O8 at its relaxed geometry.

Mass density   2.9 g/cm³
E_tot   -6.90 eV/atom
E_form   -2.346 eV per atom
Size of the total moment   0.08 μB/atom
Calculated volume   352 Å³/cell

Lattice parameters (Å, degrees): 5.4590 7.7931 8.5328 75.59 90.00 90.00
Fractional coordinates of all 26 atoms:
1 O 0.8135 0.0995 0.4899
2 O 0.1777 0.6256 0.4345
3 O 0.6635 0.9424 0.8993
4 O 0.7353 0.1901 0.1844
5 O 0.1868 0.7890 0.6629
6 O 0.4138 0.6735 0.0570
7 O 0.2647 0.1901 0.6844
8 O 0.6797 0.4171 0.3456
9 O 0.1865 0.0995 0.9899
10 O 0.3203 0.4171 0.8456
11 O 0.1099 0.2911 0.3222
12 O 0.3365 0.9424 0.3993
13 O 0.8901 0.2911 0.8222
14 O 0.8223 0.6256 0.9345
15 O 0.8132 0.7890 0.1629
16 O 0.5862 0.6735 0.5570
17 Fe 0.8457 0.0554 0.0427
18 Fe 0.6692 0.5020 0.7700
19 Fe 0.3308 0.5020 0.2700
20 Fe 0.1543 0.0554 0.5427
21 Li 0.1742 0.6408 0.8874
22 Li 0.8258 0.6408 0.3874
23 P 0.1727 0.2528 0.8324
24 P 0.3264 0.7515 0.5127
25 P 0.6736 0.7515 0.0127
26 P 0.8273 0.2528 0.3324



Entry 6:
A plane-wave DFT calculation with PBE with a Hubbard U was carried out for crystalline LiFePO4 at its relaxed geometry.

Mass density   3.1 g/cm³
E_tot   -6.75 eV/atom
E_form   -2.377 eV per atom
Size of the total moment   0.57 μB/atom
Calculated volume   168 Å³/cell

Lattice parameters (Å, degrees): 5.3111 5.4340 7.2154 111.68 109.90 102.42
Fractional coordinates of all 14 atoms:
1 Fe 0.0000 0.0000 0.0000
2 Fe 0.5000 0.5000 0.5000
3 O 0.7033 0.2258 0.4300
4 O 0.6658 0.7253 0.3734
5 O 0.2403 0.7877 0.1180
6 O 0.7226 0.8573 0.0969
7 O 0.7597 0.2123 0.8820
8 O 0.2774 0.1427 0.9031
9 O 0.3342 0.2747 0.6266
10 O 0.2967 0.7742 0.5700
11 P 0.5786 0.9031 0.2546
12 P 0.4214 0.0969 0.7454
13 Li 0.9724 0.6701 0.2569
14 Li 0.0276 0.3299 0.7431



Entry 7:
A plane-wave DFT calculation with PBE with a Hubbard U was carried out for crystalline LiFeP3O9 at its relaxed geometry.

Mass density   3.0 g/cm³
E_tot   -7.00 eV/atom
E_form   -2.524 eV per atom
Size of the total moment   0.29 μB/atom
Calculated volume   327 Å³/cell

Lattice parameters (Å, degrees): 6.5889 6.8258 7.3898 80.37 86.57 87.90
Fractional coordinates of all 28 atoms:
1 Fe 0.1741 0.0742 0.1407
2 Fe 0.8259 0.9258 0.8593
3 O 0.4755 0.0640 0.1865
4 O 0.5799 0.3828 0.8423
5 O 0.8511 0.1089 0.0792
6 O 0.6768 0.6589 0.3872
7 O 0.4201 0.6172 0.1577
8 O 0.8039 0.6404 0.0537
9 O 0.6763 0.3441 0.2796
10 O 0.5245 0.9360 0.8135
11 O 0.3237 0.6559 0.7204
12 O 0.1315 0.2707 0.3478
13 O 0.1489 0.8911 0.9208
14 O 0.1961 0.3596 0.9463
15 O 0.9580 0.2179 0.6779
16 O 0.3232 0.3411 0.6128
17 O 0.7506 0.0085 0.4174
18 O 0.2494 0.9915 0.5826
19 O 0.0420 0.7821 0.3221
20 O 0.8685 0.7293 0.6522
21 P 0.3648 0.4232 0.8011
22 P 0.3204 0.8692 0.7761
23 P 0.6796 0.1308 0.2239
24 P 0.8534 0.7874 0.4473
25 P 0.6352 0.5768 0.1989
26 P 0.1466 0.2126 0.5527
27 Li 0.1424 0.5517 0.1848
28 Li 0.8576 0.4483 0.8152



Entry 8:
A plane-wave DFT calculation with PBE with a Hubbard U was carried out for crystalline Li5Fe4P8O28 at its relaxed geometry.

Mass density   3.0 g/cm³
E_tot   -6.85 eV/atom
E_form   -2.476 eV per atom
Size of the total moment   0.42 μB/atom
Calculated volume   1049 Å³/cell

Lattice parameters (Å, degrees): 9.8014 9.7912 11.1721 89.97 101.99 90.23
Fractional coordinates of all 90 atoms:
1 Li 0.0917 0.1095 0.0278
2 Li 0.4154 0.5972 0.9756
3 Li 0.6451 0.1066 0.0413
4 Li 0.3270 0.9118 0.4543
5 Li 0.6524 0.0593 0.5273
6 Li 0.8907 0.2829 0.5473
7 Li 0.8482 0.5814 0.9569
8 Li 0.3809 0.2208 0.5503
9 Li 0.8373 0.5822 0.4641
10 Li 0.9105 0.8927 0.9689
11 O 0.1702 0.8170 0.2988
12 O 0.1139 0.0675 0.2961
13 O 0.5846 0.4156 0.7352
14 O 0.7902 0.9407 0.4776
15 O 0.6237 0.9611 0.2132
16 O 0.9044 0.4038 0.2239
17 O 0.3887 0.8429 0.1617
18 O 0.6110 0.1424 0.8561
19 O 0.0141 0.4245 0.6177
20 O 0.9353 0.0700 0.8934
21 O 0.2917 0.5654 0.4658
22 O 0.4146 0.5878 0.2657
23 O 0.5256 0.2336 0.0869
24 O 0.1079 0.5908 0.7849
25 O 0.1765 0.8293 0.8273
26 O 0.5258 0.0897 0.6285
27 O 0.3690 0.0356 0.7772
28 O 0.6886 0.2136 0.4170
29 O 0.3661 0.5640 0.6981
30 O 0.8878 0.6431 0.1430
31 O 0.8771 0.9286 0.7065
32 O 0.5313 0.6556 0.5725
33 O 0.4707 0.3436 0.4419
34 O 0.1941 0.2834 0.4063
35 O 0.3421 0.3045 0.6985
36 O 0.2256 0.6578 0.0031
37 O 0.3252 0.3302 0.1807
38 O 0.7190 0.8494 0.9997
39 O 0.0334 0.8482 0.5678
40 O 0.2217 0.0627 0.5211
41 O 0.0282 0.2643 0.0905
42 O 0.2756 0.1663 0.9985
43 O 0.9707 0.5928 0.3728
44 O 0.8121 0.1725 0.1626
45 O 0.3926 0.0900 0.2124
46 O 0.5728 0.5850 0.1080
47 O 0.7169 0.4417 0.5232
48 O 0.8737 0.4689 0.7838
49 O 0.9116 0.9051 0.2642
50 O 0.7912 0.3605 0.9973
51 O 0.6196 0.4288 0.2958
52 O 0.8377 0.1856 0.6948
53 O 0.9768 0.7263 0.9163
54 O 0.3171 0.7877 0.5908
55 O 0.6893 0.6708 0.8336
56 O 0.1287 0.5425 0.2213
57 O 0.6724 0.6820 0.3099
58 O 0.4832 0.9307 0.3814
59 O 0.4731 0.7590 0.9105
60 O 0.1048 0.3439 0.8386
61 O 0.0616 0.9339 0.1030
62 O 0.4228 0.4290 0.8925
63 O 0.8218 0.7104 0.5942
64 O 0.5962 0.9019 0.7779
65 O 0.9721 0.1611 0.4385
66 O 0.0890 0.0862 0.7320
67 P 0.6132 0.7885 0.8862
68 P 0.8803 0.8532 0.5773
69 P 0.3855 0.2143 0.1152
70 P 0.4327 0.4256 0.7610
71 P 0.3748 0.6442 0.5735
72 P 0.0616 0.9229 0.2374
73 P 0.6213 0.3546 0.4248
74 P 0.0222 0.4508 0.7505
75 P 0.9760 0.5538 0.2456
76 P 0.4752 0.9492 0.2466
77 P 0.9391 0.0740 0.7594
78 P 0.5662 0.5764 0.2406
79 P 0.1188 0.7077 0.8875
80 P 0.8877 0.2948 0.1137
81 P 0.1235 0.1471 0.4234
82 P 0.5220 0.0488 0.7581
83 Fe 0.2043 0.9133 0.6767
84 Fe 0.7480 0.2950 0.8274
85 Fe 0.6988 0.5810 0.6733
86 Fe 0.7449 0.7824 0.1781
87 Fe 0.2520 0.7042 0.1771
88 Fe 0.2915 0.4246 0.3285
89 Fe 0.2509 0.2151 0.8271
90 Fe 0.8001 0.0719 0.3206